Entry 1:
VASP calculation (GGA-PBE) on an optimized crystal structure of HoS.

## Properties
Formation energy from the elements = -1441.6 meV per atom
Crystal system = tetragonal

```
HoS
1.0
3.7227 0.0000 0.0000
0.0000 3.7227 0.0000
0.0000 0.0000 29.8257
S Ho
2 2
Direct
0.5000 0.5000 0.1699
0.5000 0.5000 0.8301
0.0000 0.0000 0.1561
0.0000 0.0000 0.8439
```


Entry 2:
VASP calculation (GGA-PBE) on an optimized crystal structure of CeAl3.

## Properties
Formation energy from the elements = -413.1 meV per atom
Crystal system = hexagonal

```
CeAl3
1.0
-6.3879 0.3906 0.5221
2.6339 -4.0501 -4.2297
0.0599 -3.3262 3.2222
Al Ce
6 2
Direct
0.8553 0.7106 0.2500
0.7106 0.8553 0.7500
0.1447 0.2894 0.7500
0.1447 0.8553 0.7500
0.8553 0.1447 0.2500
0.2894 0.1447 0.2500
0.3333 0.6667 0.2500
0.6667 0.3333 0.7500
```


Entry 3:
VASP calculation (GGA-PBE) on an optimized crystal structure of HoMn2Ge2.

## Properties
Formation energy from the elements = -480.0 meV per atom
Crystal system = tetragonal

```
HoMn2Ge2
1.0
1.4540 -1.2011 5.7993
-3.3362 -3.2799 3.9116
2.2601 -0.0649 -5.6637
Mn Ge Ho
2 2 1
Direct
0.2500 0.7500 0.5000
0.7500 0.2500 0.5000
0.3816 0.3816 0.0000
0.6184 0.6184 0.0000
0.0000 0.0000 0.0000
```